(1)
LiCrO2 | the Materials Project database | GGA+U | optimized geometry; largest piezoelectric modulus = 1.43 C/m²; distance to the lowest polymorph of the same formula = 34 meV per atom
1.0
1.4752 -2.5586 0.0006
-4.3834 -2.5273 0.0000
0.0009 -0.0016 -9.9773
Cr Li O
4 4 8
direct
0.0001 0.3330 0.5005
0.5000 0.8331 0.5005
0.0001 0.6670 0.0004
0.5001 0.1669 0.0005
0.5000 0.8335 0.7601
0.0000 0.6666 0.2601
0.5000 0.1665 0.2601
0.0000 0.3334 0.7601
0.5000 0.1683 0.6115
0.5001 0.8317 0.1115
0.0001 0.3317 0.1116
0.5000 0.4980 0.3874
0.0000 0.6683 0.6116
0.5000 0.5020 0.8874
0.0000 0.0020 0.8874
0.0000 0.9980 0.3874



(2)
Here is an optimized crystal structure of Mn2Fe3CoP6O24 from the Materials Project database. Energies are from GGA+U.

Structure (POSCAR):
```
Mn2Fe3CoP6O24
1.0
-4.3667 -0.0492 -7.3276
-4.7486 -6.7963 -2.0061
-8.5052 0.6256 0.1827
P O Fe Mn Co
6 24 3 2 1
direct
0.7544 0.4544 0.0472
0.9583 0.2494 0.5366
0.4544 0.0472 0.7544
0.0472 0.7544 0.4544
0.2494 0.5366 0.9583
0.5366 0.9583 0.2494
0.4892 0.8907 0.6903
0.1096 0.3207 0.5001
0.0895 0.7357 0.9439
0.5931 0.4373 0.2453
0.6903 0.4892 0.8907
0.0075 0.8185 0.6114
0.3207 0.5001 0.1096
0.9175 0.2552 0.0624
0.6114 0.0075 0.8185
0.4373 0.2453 0.5931
0.2552 0.0624 0.9175
0.0624 0.9175 0.2552
0.5001 0.1096 0.3207
0.1854 0.3791 0.9949
0.8185 0.6114 0.0075
0.4103 0.5550 0.7584
0.3791 0.9949 0.1854
0.8907 0.6903 0.4892
0.5550 0.7584 0.4103
0.2453 0.5931 0.4373
0.9439 0.0895 0.7357
0.7584 0.4103 0.5550
0.9949 0.1854 0.3791
0.7357 0.9439 0.0895
0.8561 0.8561 0.8561
0.3552 0.3552 0.3552
0.6462 0.6462 0.6462
0.9998 0.9998 0.9998
0.5003 0.5003 0.5003
0.1408 0.1408 0.1408
```



(3)
Ba2FeMoO6 | the Materials Project database | GGA+U | optimized geometry; distance to the lowest polymorph of the same formula = 0 meV per atom
1.0
0.5615 5.5344 -1.6436
-4.0620 -3.3531 -2.4302
-5.1739 0.0492 8.5969
Mo O Fe Ba
2 12 2 4
direct
0.4985 0.2498 0.7490
0.5007 0.7494 0.2510
0.2554 0.8823 0.1242
0.2647 0.3955 0.1291
0.2421 0.3678 0.6243
0.7435 0.6173 0.3756
0.2460 0.8727 0.6264
0.7340 0.3635 0.6295
0.7535 0.6277 0.8731
0.2467 0.6194 0.3738
0.7580 0.1313 0.8760
0.7542 0.8804 0.1267
0.2658 0.1356 0.8708
0.7342 0.1039 0.3707
0.0110 0.5112 0.4999
0.9916 0.9918 0.0001
0.7523 0.3768 0.1244
0.2523 0.6280 0.8754
0.7482 0.8729 0.6259
0.2473 0.1224 0.3743



(4)
Here is an optimized crystal structure of Fe3P2H3O11 from the Materials Project database. Energies are from GGA+U.

Structure (POSCAR):
```
Fe3P2H3O11
1.0
8.1374 0.0000 0.0000
0.0000 9.6186 0.0000
0.0000 0.0000 9.8989
O P Fe H
44 8 12 12
direct
0.7975 0.8584 0.4566
0.8320 0.2884 0.7425
0.2025 0.1416 0.5434
0.4139 0.1122 0.0301
0.1516 0.9678 0.3455
0.0861 0.3878 0.5301
0.0000 0.4490 0.2500
0.1516 0.0322 0.8455
0.0000 0.5510 0.7500
0.6680 0.7884 0.7425
0.3320 0.7884 0.7575
0.8898 0.8431 0.9109
0.9139 0.6122 0.4699
0.2975 0.6416 0.5434
0.6516 0.4678 0.1545
0.8320 0.7116 0.2425
0.3898 0.3431 0.5891
0.5000 0.0510 0.7500
0.3320 0.2116 0.2575
0.3898 0.6569 0.0891
0.7025 0.6416 0.9566
0.0861 0.6122 0.0301
0.7025 0.3584 0.4566
0.3484 0.4678 0.3455
0.5861 0.1122 0.4699
0.1680 0.2884 0.7575
0.6102 0.6569 0.4109
0.7975 0.1416 0.9566
0.6516 0.5322 0.6545
0.3484 0.5322 0.8455
0.5861 0.8878 0.9699
0.2975 0.3584 0.0434
0.6102 0.3431 0.9109
0.1102 0.8431 0.5891
0.2025 0.8584 0.0434
0.1102 0.1569 0.0891
0.4139 0.8878 0.5301
0.8484 0.0322 0.6545
0.1680 0.7116 0.2575
0.8484 0.9678 0.1545
0.6680 0.2116 0.2425
0.8898 0.1569 0.4109
0.5000 0.9490 0.2500
0.9139 0.3878 0.9699
0.2858 0.2087 0.1050
0.2142 0.7087 0.1050
0.7858 0.2913 0.8950
0.7858 0.7087 0.3950
0.7142 0.2087 0.3950
0.2858 0.7913 0.6050
0.7142 0.7913 0.8950
0.2142 0.2913 0.6050
0.8630 0.4507 0.6124
0.8630 0.5493 0.1124
0.3630 0.9507 0.8876
0.0000 0.0000 0.5000
0.5000 0.5000 0.5000
0.1370 0.5493 0.3876
0.6370 0.9507 0.6124
0.0000 0.0000 0.0000
0.1370 0.4507 0.8876
0.3630 0.0493 0.3876
0.5000 0.5000 0.0000
0.6370 0.0493 0.1124
0.8445 0.8702 0.1894
0.3445 0.6298 0.8106
0.1555 0.1298 0.8106
0.0000 0.3473 0.2500
0.6555 0.3702 0.1894
0.1555 0.8702 0.3106
0.8445 0.1298 0.6894
0.5000 0.8473 0.2500
0.6555 0.6298 0.6894
0.5000 0.1527 0.7500
0.0000 0.6527 0.7500
0.3445 0.3702 0.3106
```



(5)
Li9Mn2Co5O16 | the Materials Project database | GGA+U | optimized geometry; distance to the lowest polymorph of the same formula = 163 meV per atom
1.0
-5.3936 2.4532 2.7038
-1.9865 -0.5844 6.1751
0.5647 7.9940 6.4407
O Li Co Mn
16 9 5 2
direct
0.9039 0.3700 0.7418
0.6283 0.6283 0.4986
0.1315 0.1315 0.0130
0.6345 0.6345 0.0056
0.3728 0.3728 0.4991
0.8696 0.8696 0.4938
0.8902 0.4017 0.2304
0.1177 0.5914 0.7728
0.3622 0.3622 0.0025
0.1085 0.6211 0.2503
0.6211 0.1085 0.2503
0.5914 0.1177 0.7728
0.1359 0.1359 0.4907
0.8654 0.8654 0.9908
0.3700 0.9039 0.7418
0.4017 0.8902 0.2304
0.7535 0.2585 0.9901
0.2474 0.7402 0.5082
0.5058 0.5058 0.7457
0.2585 0.7535 0.9901
0.9929 0.9929 0.2552
0.7402 0.2474 0.5082
0.7502 0.7502 0.7469
0.0029 0.0029 0.7456
0.4966 0.4966 0.2572
0.2485 0.2485 0.7512
0.5024 0.9947 0.5083
0.7482 0.7482 0.2547
0.9947 0.5024 0.5083
0.2521 0.2521 0.2536
0.9991 0.5024 0.9960
0.5024 0.9991 0.9960



(6)
SrMgMnO3 | the Materials Project database | GGA+U | optimized geometry; distance to the lowest polymorph of the same formula = 0 meV per atom
1.0
-2.4523 -0.1892 -3.8425
0.2168 -4.5553 -0.7785
-4.0069 -1.2265 1.8000
Sr Mg Mn O
1 1 1 3
direct
0.6233 0.6221 0.6232
0.2393 0.2340 0.2394
0.9551 0.9499 0.9552
0.9837 0.4841 0.9838
0.4834 0.9800 0.9818
0.9817 0.9799 0.4834



(7)
Here is an optimized crystal structure of NaLi3Fe4Si8O24 from the Materials Project database. Energies are from GGA+U.

Structure (POSCAR):
```
NaLi3Fe4Si8O24
1.0
5.3661 0.0000 0.0000
1.6702 6.3855 0.0000
1.3132 1.1108 25.5107
O Si Fe Li Na
48 16 8 6 2
direct
0.7008 0.6469 0.6616
0.5932 0.9708 0.9514
0.6406 0.8033 0.4894
0.3969 0.0311 0.0510
0.7853 0.3550 0.3375
0.2857 0.3558 0.3373
0.7989 0.3558 0.8385
0.3003 0.3521 0.8392
0.6499 0.8964 0.8462
0.5524 0.3755 0.2214
0.2148 0.6475 0.1612
0.4011 0.8969 0.5948
0.1555 0.0366 0.7993
0.5335 0.3537 0.0886
0.4511 0.6481 0.9123
0.9507 0.6482 0.9133
0.0336 0.3545 0.0884
0.8488 0.9698 0.1996
0.9646 0.6479 0.4100
0.1359 0.8001 0.9934
0.5510 0.3567 0.5874
0.0521 0.3532 0.5880
0.1075 0.2023 0.2571
0.9083 0.0372 0.5480
0.8535 0.2029 0.0078
0.6496 0.0317 0.2998
0.5749 0.1157 0.4053
0.0448 0.3788 0.7221
0.4712 0.6184 0.7764
0.3463 0.9706 0.7001
0.0820 0.1099 0.9061
0.3661 0.1980 0.5071
0.2006 0.6493 0.6609
0.1018 0.9697 0.4484
0.8846 0.8046 0.7409
0.9226 0.8889 0.0942
0.4657 0.6470 0.4092
0.7141 0.6468 0.1614
0.6944 0.6252 0.0285
0.8338 0.1122 0.6550
0.8033 0.3778 0.4704
0.2936 0.3768 0.9729
0.1730 0.8906 0.3429
0.9473 0.6254 0.2772
0.3235 0.1132 0.1564
0.3920 0.7988 0.2421
0.6121 0.1989 0.7578
0.2239 0.6183 0.5250
0.9199 0.7936 0.1540
0.0346 0.3865 0.3010
0.7144 0.6164 0.4465
0.7823 0.3860 0.0520
0.5790 0.2087 0.3456
0.3024 0.3824 0.5504
0.9530 0.6169 0.6983
0.1710 0.7940 0.4025
0.4060 0.7970 0.6539
0.5501 0.3821 0.8014
0.8441 0.2059 0.5952
0.2040 0.6158 0.9498
0.6552 0.7970 0.9053
0.3269 0.2076 0.0968
0.0919 0.2051 0.8464
0.4650 0.6150 0.1982
0.7709 0.8981 0.0268
0.7290 0.1018 0.4733
0.2192 0.1033 0.9754
0.0249 0.8978 0.2753
0.2798 0.8980 0.5241
0.9748 0.1020 0.7242
0.4737 0.1029 0.2245
0.5257 0.8986 0.7756
0.5617 0.7493 0.3130
0.3093 0.7497 0.0640
0.1894 0.2521 0.4368
0.4380 0.2521 0.6865
0.9361 0.2504 0.1878
0.6841 0.2507 0.9375
0.8240 0.7094 0.5718
0.0720 0.7088 0.8230
```



(8)
Li3CrFe3O8 | the Materials Project database | GGA+U | optimized geometry; distance to the lowest polymorph of the same formula = 80 meV per atom
1.0
2.8602 -4.9436 0.0000
2.8602 4.9436 0.0000
0.0000 0.0000 9.5032
Li Fe O Cr
6 6 16 2
direct
0.8324 0.1676 0.4448
0.1676 0.8324 0.9448
0.3351 0.1669 0.4456
0.6649 0.8331 0.9456
0.8331 0.6649 0.4456
0.1669 0.3351 0.9456
0.3563 0.1771 0.7136
0.8217 0.1783 0.7142
0.6437 0.8229 0.2136
0.1771 0.3563 0.2136
0.8229 0.6437 0.7136
0.1783 0.8217 0.2142
0.4839 0.5161 0.3475
0.3325 0.1745 0.0947
0.5083 0.0296 0.8471
0.9704 0.4917 0.8471
0.8333 0.1667 0.0939
0.9993 0.0007 0.3112
0.4917 0.9704 0.3471
0.5161 0.4839 0.8475
0.1667 0.8333 0.5939
0.0296 0.5083 0.3471
0.8255 0.6675 0.0947
0.0007 0.9993 0.8112
0.6670 0.3330 0.5865
0.1745 0.3325 0.5947
0.3330 0.6670 0.0865
0.6675 0.8255 0.5947
0.6653 0.3347 0.9960
0.3347 0.6653 0.4960



For reference, DFT total energy by record: -0.25342; -0.26111; -0.25090; -0.23992; -0.20915; -0.22587; -0.26408; -0.23009 hartree per atom.
For reference, ΔE_f by record: -9.498; -81.940; -25.011; -37.527; -54.421; -13.311; -109.870; -27.804 eV/f.u..
For reference, mass density by record: 4.1; 3.4; 6.3; 3.5; 4.2; 3.8; 3.3; 4.6 g/cm³.